(1)
The following is a DFT calculation (GGA-PBE) of a relaxed Ce3AlC crystal.

Structure (POSCAR):
```
Ce3AlC
1.0
4.9349 0.0000 0.0000
0.0000 4.9349 0.0000
0.0000 0.0000 4.9349
Ce Al C
3 1 1
Direct
0.0000 0.0000 0.5000
0.0000 0.5000 0.0000
0.5000 0.0000 0.0000
0.5000 0.5000 0.5000
0.0000 0.0000 0.0000
```

Properties
As for the crystal system: cubic. Its energy relative to the elements is -0.230 eV/atom. The calculation puts the raw total energy at -0.2346 Ha/atom.

---

(2)
The following is a DFT calculation (GGA-PBE) of a relaxed Ce4Al16Ni4C3 crystal.

Structure (POSCAR):
```
Ce4Al16Ni4C3
1.0
3.5502 0.0000 0.0000
0.0000 7.7534 0.0000
0.0000 0.0000 15.9150
Ce Al Ni C
4 16 4 3
Direct
0.0000 0.0000 0.0000
0.0000 0.5000 0.2199
0.5000 0.0000 0.4934
0.5000 0.5000 0.7200
0.0000 0.0000 0.1925
0.0000 0.1940 0.7981
0.0000 0.2345 0.6096
0.0000 0.3018 0.4231
0.0000 0.5000 0.0271
0.0000 0.6982 0.4231
0.0000 0.7655 0.6096
0.0000 0.8060 0.7981
0.5000 0.0000 0.6914
0.5000 0.2006 0.3010
0.5000 0.2500 0.1109
0.5000 0.3005 0.9188
0.5000 0.5000 0.5316
0.5000 0.6995 0.9188
0.5000 0.7500 0.1109
0.5000 0.7994 0.3010
0.0000 0.0000 0.3447
0.0000 0.5000 0.8740
0.5000 0.0000 0.8453
0.5000 0.5000 0.3812
0.0000 0.5000 0.6068
0.5000 0.0000 0.1157
0.5000 0.5000 0.1037
```

Properties
As for the crystal system: orthorhombic. Its energy relative to the elements is -0.320 eV/atom. The calculation puts the raw total energy at -0.1948 Ha/atom.

---

(3)
The following is a DFT calculation (GGA-PBE) of a relaxed AlH18C6N2Cl3 crystal.

Structure (POSCAR):
```
AlH18C6N2Cl3
1.0
10.2871 0.0000 0.0000
0.0000 10.9179 0.0000
0.0000 0.0000 13.9688
Al H C N Cl
4 72 24 8 12
Direct
0.2031 0.2500 0.0240
0.2969 0.7500 0.5240
0.7031 0.2500 0.4760
0.7969 0.7500 0.9760
0.0073 0.0565 0.1255
0.0073 0.4435 0.1255
0.0074 0.7500 0.7233
0.0101 0.1679 0.4904
0.0101 0.3321 0.4904
0.0475 0.6410 0.3030
0.0475 0.8590 0.3030
0.0806 0.2500 0.5883
0.0907 0.6380 0.9583
0.0907 0.8620 0.9583
0.1248 0.5569 0.3973
0.1248 0.9431 0.3973
0.1304 0.6414 0.8336
0.1304 0.8586 0.8336
0.1362 0.1681 0.2425
0.1362 0.3319 0.2425
0.2210 0.6382 0.3117
0.2210 0.8618 0.3117
0.2790 0.1382 0.8117
0.2790 0.3618 0.8117
0.3638 0.6681 0.7425
0.3638 0.8319 0.7425
0.3696 0.1414 0.3336
0.3696 0.3586 0.3336
0.3752 0.0569 0.8973
0.3752 0.4431 0.8973
0.4093 0.1380 0.4583
0.4093 0.3620 0.4583
0.4194 0.7500 0.0883
0.4525 0.1410 0.8030
0.4525 0.3590 0.8030
0.4899 0.6679 0.9904
0.4899 0.8321 0.9904
0.4926 0.2500 0.2233
0.4927 0.5565 0.6255
0.4927 0.9435 0.6255
0.5073 0.0565 0.3745
0.5073 0.4435 0.3745
0.5074 0.7500 0.7767
0.5101 0.1679 0.0096
0.5101 0.3321 0.0096
0.5475 0.6410 0.1970
0.5475 0.8590 0.1970
0.5806 0.2500 0.9117
0.5907 0.6380 0.5417
0.5907 0.8620 0.5417
0.6248 0.5569 0.1027
0.6248 0.9431 0.1027
0.6304 0.6414 0.6664
0.6304 0.8586 0.6664
0.6362 0.1681 0.2575
0.6362 0.3319 0.2575
0.7210 0.6382 0.1883
0.7210 0.8618 0.1883
0.7790 0.1382 0.6883
0.7790 0.3618 0.6883
0.8638 0.6681 0.7575
0.8638 0.8319 0.7575
0.8696 0.1414 0.1664
0.8696 0.3586 0.1664
0.8752 0.0569 0.6027
0.8752 0.4431 0.6027
0.9093 0.1380 0.0417
0.9093 0.3620 0.0417
0.9194 0.7500 0.4117
0.9525 0.1410 0.6970
0.9525 0.3590 0.6970
0.9899 0.6679 0.5096
0.9899 0.8321 0.5096
0.9926 0.2500 0.2767
0.9927 0.5565 0.8745
0.9927 0.9435 0.8745
0.0012 0.2500 0.5352
0.0503 0.6395 0.8859
0.0503 0.8605 0.8859
0.0777 0.2500 0.2286
0.1303 0.6399 0.3530
0.1303 0.8601 0.3530
0.3697 0.1399 0.8530
0.3697 0.3601 0.8530
0.4223 0.7500 0.7286
0.4497 0.1395 0.3859
0.4497 0.3605 0.3859
0.4988 0.7500 0.0352
0.5012 0.2500 0.9648
0.5503 0.6395 0.6141
0.5503 0.8605 0.6141
0.5777 0.2500 0.2714
0.6303 0.6399 0.1470
0.6303 0.8601 0.1470
0.8697 0.1399 0.6470
0.8697 0.3601 0.6470
0.9223 0.7500 0.7714
0.9497 0.1395 0.1141
0.9497 0.3605 0.1141
0.9988 0.7500 0.4648
0.0330 0.2500 0.1274
0.1263 0.7500 0.4155
0.3737 0.2500 0.9155
0.4670 0.7500 0.6274
0.5330 0.2500 0.3726
0.6263 0.7500 0.0845
0.8737 0.2500 0.5845
0.9670 0.7500 0.8726
0.0692 0.2500 0.9040
0.2269 0.5783 0.5834
0.2269 0.9217 0.5834
0.2731 0.0783 0.0834
0.2731 0.4217 0.0834
0.4308 0.7500 0.4040
0.5692 0.2500 0.5960
0.7269 0.5783 0.9166
0.7269 0.9217 0.9166
0.7731 0.0783 0.4166
0.7731 0.4217 0.4166
0.9308 0.7500 0.0960
```

Properties
As for the crystal system: orthorhombic. Its energy relative to the elements is -0.428 eV/atom. The calculation puts the raw total energy at -0.1879 Ha/atom.

---

Q: Which value of energy relative to the elements does entry 2 give?
A: -0.320 eV/atom

---

Q: The highest energy relative to the elements belongs to which entry?
A: Ce3AlC